DyAlNi after structural relaxation, computed with GGA-PBE.

Computed properties:
The calculation puts the formation energy at -0.5144 eV per atom. The total energy is -5.2252 eV/atom. Its volume is 416 Å³/cell.

a = 8.459 Å, b = 5.365 Å, c = 9.177 Å
α = 90.00°, β = 90.00°, γ = 90.00°
Space group Amm2 (No. 38)
Unique sites:
Dy: 0.175 0.000 0.000 x4
Dy: 0.295 0.000 0.663 x4
Al: 0.238 0.000 0.326 x4
Al: 0.500 0.245 0.916 x4
Ni: 0.000 0.000 0.497 x2
Ni: 0.000 0.248 0.746 x4
Ni: 0.500 0.000 0.161 x2